1.
Computed, not measured: a relaxed structure of Cs2HgCl4 at the r²SCAN level of DFT.

Values from the calculation:
**Mass density**: 3.9 Mg/m³
**E_form**: -1.583 eV per atom
**Volume**: 1035.98 Å³ per cell
**Crystal system**: orthorhombic

```
Cs2HgCl4
1.0
-6.9766 1.1766 2.7495
0.8195 -8.1715 5.5763
5.2968 7.5099 10.2264
Cl Cs Hg
16 8 4
Direct
0.5390 0.2863 0.5807
0.2320 0.4197 0.8494
0.7554 0.4316 0.8475
0.5055 0.9295 0.4069
0.7680 0.9197 0.6506
0.2680 0.5803 0.3494
0.9945 0.0705 0.9069
0.7446 0.5684 0.3475
0.4610 0.7863 0.9193
0.2554 0.0684 0.1525
0.2446 0.9316 0.6525
0.9610 0.7137 0.0807
0.4945 0.4295 0.0931
0.7320 0.0803 0.1506
0.0055 0.5705 0.5931
0.0390 0.2137 0.4193
0.9923 0.3650 0.0724
0.4923 0.1350 0.9276
0.0076 0.7336 0.8203
0.9924 0.2336 0.6797
0.5076 0.7664 0.1797
0.4924 0.2664 0.3203
0.5077 0.6350 0.5724
0.0077 0.8650 0.4276
0.4931 0.5397 0.9252
0.0069 0.4603 0.4252
0.9931 0.9603 0.0748
0.5069 0.0397 0.5748
```

=====

2.
Computed, not measured: a relaxed structure of K2Ti6O13 at the r²SCAN level of DFT.

Values from the calculation:
**Mass density**: 3.6 Mg/m³
**E_form**: -3.188 eV per atom
**Volume**: 267.29 Å³ per cell
**Crystal system**: monoclinic

```
K2Ti6O13
1.0
-1.3025 -2.7864 -7.4232
-0.3329 0.8406 -7.9842
8.5060 -2.6048 -2.1392
Ti O K
6 13 2
Direct
0.1708 0.1708 0.5631
0.7680 0.7680 0.7750
0.8852 0.8852 0.0960
0.8292 0.8292 0.4369
0.2320 0.2320 0.2250
0.1148 0.1148 0.9040
0.1341 0.1341 0.3842
0.6420 0.6420 0.8866
0.0000 0.0000 0.0000
0.9227 0.9227 0.2908
0.8659 0.8659 0.6158
0.2965 0.2965 0.4279
0.2391 0.2391 0.7585
0.0773 0.0773 0.7092
0.8332 0.8332 0.9158
0.7609 0.7609 0.2415
0.3580 0.3580 0.1134
0.1668 0.1668 0.0842
0.7035 0.7035 0.5721
0.4545 0.4545 0.7554
0.5455 0.5455 0.2446
```

=====

3.
Computed, not measured: a relaxed structure of CdNi at the r²SCAN level of DFT.

Values from the calculation:
**Mass density**: 9.3 Mg/m³
**E_form**: 0.006 eV per atom
**Volume**: 367.65 Å³ per cell
**Crystal system**: cubic

```
CdNi
1.0
-6.2748 -5.0130 -0.3960
-2.9660 -3.2672 6.7222
-7.1826 2.3231 2.7689
Ni Cd
12 12
Direct
0.0000 0.5000 0.0000
0.7984 0.7985 0.1046
0.2016 0.2015 0.2015
0.8954 0.2015 0.2015
0.1046 0.7985 0.7985
0.2016 0.2015 0.8954
0.2016 0.8954 0.2015
0.7984 0.1046 0.7985
0.0000 0.0000 0.5000
0.7984 0.7985 0.7985
0.5000 0.0000 0.0000
0.0000 0.0000 0.0000
0.1767 0.5732 0.5733
0.8233 0.4268 0.8232
0.5733 0.1767 0.1768
0.5733 0.1767 0.5733
0.8232 0.8232 0.4268
0.4267 0.8233 0.4267
0.1767 0.5732 0.1768
0.4267 0.4267 0.8233
0.8233 0.4268 0.4267
0.5733 0.5733 0.1767
0.4267 0.8233 0.8232
0.1768 0.1768 0.5732
```

=====

4.
Computed, not measured: a relaxed structure of SiO2 at the r²SCAN level of DFT.

Values from the calculation:
**Mass density**: 2.1 Mg/m³
**E_form**: -3.026 eV per atom
**Volume**: 1149.53 Å³ per cell
**Crystal system**: monoclinic

```
SiO2
1.0
4.9762 0.0000 0.0000
0.0000 13.3180 -3.8343
0.0000 0.0294 17.3370
Si O
24 48
Direct
0.4443 0.5079 0.8041
0.1822 0.7693 0.0907
0.8198 0.8090 0.8395
0.3198 0.1910 0.6605
0.2013 0.3064 0.3397
0.5670 0.0114 0.3046
0.0670 0.9886 0.1954
0.1657 0.7300 0.4063
0.8178 0.2307 0.9093
0.6657 0.2700 0.0937
0.3178 0.7693 0.5907
0.7987 0.6936 0.6603
0.8343 0.2700 0.5937
0.4330 0.9886 0.6954
0.9330 0.0114 0.8046
0.9443 0.4921 0.6959
0.1802 0.1910 0.1605
0.5557 0.4921 0.1959
0.3343 0.7300 0.9063
0.2987 0.3064 0.8397
0.7013 0.6936 0.1603
0.6802 0.8090 0.3395
0.6822 0.2307 0.4093
0.0557 0.5079 0.3041
0.1063 0.4190 0.3456
0.1069 0.6120 0.3710
0.4588 0.7548 0.1343
0.2091 0.2491 0.7489
0.2692 0.7520 0.4967
0.8922 0.2374 0.1480
0.3492 0.0730 0.6519
0.4259 0.8817 0.6293
0.7509 0.5039 0.7729
0.5420 0.6902 0.6028
0.7491 0.5039 0.2729
0.8492 0.9270 0.8481
0.3937 0.4190 0.8456
0.4580 0.3098 0.3972
0.6063 0.5810 0.1544
0.2667 0.9897 0.2691
0.1078 0.7626 0.8520
0.3931 0.6120 0.8710
0.0420 0.3098 0.8972
0.8931 0.3880 0.6290
0.7667 0.0103 0.2309
0.6078 0.2374 0.6480
0.6069 0.3880 0.1290
0.0741 0.8817 0.1293
0.3922 0.7626 0.3520
0.7091 0.7509 0.7511
0.7333 0.0103 0.7309
0.0412 0.7548 0.6343
0.2308 0.7520 0.9967
0.9259 0.1183 0.8707
0.5741 0.1183 0.3707
0.1508 0.0730 0.1519
0.6062 0.7932 0.9049
0.5412 0.2452 0.8657
0.3938 0.2068 0.0951
0.6508 0.9270 0.3481
0.7909 0.7509 0.2511
0.2333 0.9897 0.7691
0.8938 0.7932 0.4049
0.9588 0.2452 0.3657
0.9580 0.6902 0.1028
0.2509 0.4961 0.7271
0.8937 0.5810 0.6544
0.2909 0.2491 0.2489
0.7308 0.2480 0.5033
0.1062 0.2068 0.5951
0.2491 0.4961 0.2271
0.7692 0.2480 0.0033
```